Record 1
A plane-wave DFT calculation with GGA-PBE was carried out for Cs2FeNiC6N6 after structural relaxation.

Unit cell a=10.265 b=10.265 c=10.265 alpha=90.00 beta=90.00 gamma=90.00
Space group Fm-3m (No. 225)
Unique sites:
Cs: 0.250 0.250 0.250 (multiplicity 8)
Fe: 0.000 0.000 0.000 (multiplicity 4)
Ni: 0.000 0.000 0.500 (multiplicity 4)
C: 0.000 0.000 0.184 (multiplicity 24)
N: 0.000 0.000 0.299 (multiplicity 24)

Calculated values
Crystal system: cubic
Energy with MP2020 corrections, eV for the cell shown: -499.247

Record 2
A plane-wave DFT calculation with GGA-PBE was carried out for Cs2MgH8C2O10 after structural relaxation.

Unit cell a=6.765 b=12.611 c=13.119 alpha=90.00 beta=90.00 gamma=90.00
Space group Pbca (No. 61)
Unique sites:
Cs: 0.131 0.227 0.129 (multiplicity 8)
Mg: 0.000 0.000 0.500 (multiplicity 4)
H: 0.131 0.018 0.712 (multiplicity 8)
H: 0.148 0.184 0.402 (multiplicity 8)
H: 0.182 0.528 0.639 (multiplicity 8)
H: 0.222 0.570 0.395 (multiplicity 8)
C: 0.158 0.114 0.881 (multiplicity 8)
O: 0.078 0.202 0.854 (multiplicity 8)
O: 0.090 0.024 0.844 (multiplicity 8)
O: 0.172 0.016 0.639 (multiplicity 8)
O: 0.184 0.115 0.437 (multiplicity 8)
O: 0.196 0.612 0.945 (multiplicity 8)

Calculated values
Crystal system: orthorhombic
Energy with MP2020 corrections, eV for the cell shown: -555.517

Record 3
A plane-wave DFT calculation with GGA-PBE was carried out for CsH6C2S2NO4 after structural relaxation.

Unit cell a=9.010 b=10.967 c=11.174 alpha=90.00 beta=118.12 gamma=90.00
Space group P2_1/c (No. 14)
Unique sites:
Cs: 0.218 0.025 0.424 (multiplicity 4)
H: 0.020 0.207 0.122 (multiplicity 4)
H: 0.109 0.573 0.451 (multiplicity 4)
H: 0.201 0.713 0.430 (multiplicity 4)
H: 0.383 0.063 0.125 (multiplicity 4)
H: 0.392 0.563 0.306 (multiplicity 4)
H: 0.480 0.160 0.051 (multiplicity 4)
C: 0.104 0.673 0.452 (multiplicity 4)
C: 0.493 0.118 0.145 (multiplicity 4)
S: 0.143 0.722 0.616 (multiplicity 4)
S: 0.493 0.738 0.243 (multiplicity 4)
N: 0.332 0.681 0.720 (multiplicity 4)
O: 0.033 0.651 0.653 (multiplicity 4)
O: 0.117 0.646 0.108 (multiplicity 4)
O: 0.361 0.184 0.684 (multiplicity 4)
O: 0.475 0.682 0.118 (multiplicity 4)

Calculated values
Crystal system: monoclinic
Energy with MP2020 corrections, eV for the cell shown: -357.502

Record 4
A plane-wave DFT calculation with GGA-PBE was carried out for CsSi2H18C6N after structural relaxation.

Unit cell a=13.423 b=13.554 c=16.190 alpha=90.00 beta=90.00 gamma=90.00
Space group Pbca (No. 61)
Unique sites:
Cs: 0.143 0.007 0.064 (multiplicity 8)
Si: 0.006 0.247 0.975 (multiplicity 8)
Si: 0.104 0.129 0.835 (multiplicity 8)
H: 0.006 0.678 0.379 (multiplicity 8)
H: 0.007 0.514 0.275 (multiplicity 8)
H: 0.048 0.601 0.754 (multiplicity 8)
H: 0.061 0.058 0.696 (multiplicity 8)
H: 0.070 0.659 0.145 (multiplicity 8)
H: 0.073 0.096 0.537 (multiplicity 8)
H: 0.080 0.715 0.892 (multiplicity 8)
H: 0.088 0.202 0.272 (multiplicity 8)
H: 0.112 0.611 0.048 (multiplicity 8)
H: 0.123 0.671 0.430 (multiplicity 8)
H: 0.140 0.128 0.445 (multiplicity 8)
H: 0.164 0.192 0.539 (multiplicity 8)
H: 0.164 0.723 0.088 (multiplicity 8)
H: 0.179 0.227 0.719 (multiplicity 8)
H: 0.203 0.527 0.365 (multiplicity 8)
H: 0.208 0.218 0.315 (multiplicity 8)
H: 0.222 0.580 0.881 (multiplicity 8)
H: 0.247 0.538 0.780 (multiplicity 8)
C: 0.023 0.062 0.756 (multiplicity 8)
C: 0.056 0.717 0.423 (multiplicity 8)
C: 0.094 0.680 0.082 (multiplicity 8)
C: 0.105 0.158 0.502 (multiplicity 8)
C: 0.149 0.245 0.780 (multiplicity 8)
C: 0.220 0.048 0.842 (multiplicity 8)
N: 0.047 0.143 0.928 (multiplicity 8)

Calculated values
Crystal system: orthorhombic
Energy with MP2020 corrections, eV for the cell shown: -1155.781

Record 5
A plane-wave DFT calculation with GGA-PBE was carried out for CsHCO3 after structural relaxation.

Unit cell a=4.688 b=11.316 c=7.790 alpha=90.00 beta=112.15 gamma=90.00
Space group P2_1/c (No. 14)
Unique sites:
Cs: 0.072 0.172 0.422 (multiplicity 4)
H: 0.500 0.095 0.997 (multiplicity 4)
C: 0.331 0.547 0.689 (multiplicity 4)
O: 0.219 0.582 0.804 (multiplicity 4)
O: 0.374 0.061 0.154 (multiplicity 4)
O: 0.418 0.633 0.595 (multiplicity 4)

Calculated values
Crystal system: monoclinic
Energy with MP2020 corrections, eV for the cell shown: -158.359

| no. | formation enthalpy at 0 K (eV per atom) |
| --- | --- |
| 1 | -0.211 |
| 2 | -1.757 |
| 3 | -0.829 |
| 4 | -0.284 |
| 5 | -1.872 |